Material: Na6Ti6Zn2Si5S7O48
Method: DFT, PBE
State: optimized geometry

## Properties
Crystal system: triclinic
Calculated density (kg/m3): 2797
Total energy (eV per cell): -1523.5

Structure (CIF):
```
data_Na6Ti6Zn2Si5S7O48
_space_group_name_H-M_alt 'P 1'
_space_group_IT_number 1
_cell_length_a 8.823
_cell_length_b 15.154
_cell_length_c 22.494
_cell_angle_alpha 90.10
_cell_angle_beta 90.03
_cell_angle_gamma 90.01
loop_
_space_group_symop_operation_xyz
'x,y,z'
loop_
_atom_site_label
_atom_site_fract_x
_atom_site_fract_y
_atom_site_fract_z
_atom_site_occupancy
Na1 0.000 0.000 0.000 1
Na2 0.000 0.339 0.168 1
Na3 0.001 0.334 0.668 1
Na4 0.003 0.004 0.505 1
Na5 0.005 0.674 0.833 1
Na6 0.007 0.664 0.334 1
Na7 0.192 0.825 0.249 1
Na8 0.308 0.324 0.746 1
Na9 0.494 0.176 0.336 1
Na10 0.495 0.166 0.832 1
Na11 0.498 0.500 0.007 1
Na12 0.501 0.835 0.172 1
Na13 0.501 0.838 0.665 1
Na14 0.502 0.498 0.499 1
Na15 0.637 0.995 0.249 1
Na16 0.672 0.688 0.247 1
Na17 0.830 0.188 0.745 1
Na18 0.866 0.495 0.747 1
Ti1 0.000 0.337 0.322 1
Ti2 0.003 0.673 0.683 1
Ti3 0.012 0.661 0.190 1
Ti4 0.018 0.001 0.856 1
Ti5 0.021 0.002 0.349 1
Ti6 0.483 0.501 0.357 1
Ti7 0.488 0.498 0.846 1
Ti8 0.489 0.171 0.476 1
Ti9 0.490 0.163 0.686 1
Ti10 0.501 0.176 0.187 1
Ti11 0.502 0.172 0.980 1
Ti12 0.507 0.842 0.015 1
Ti13 0.509 0.842 0.818 1
Ti14 0.511 0.843 0.524 1
Ti15 0.992 0.341 0.025 1
Ti16 0.997 0.334 0.512 1
Ti17 0.998 0.671 0.479 1
Ti18 0.999 0.671 0.981 1
Zn1 0.003 0.997 0.153 1
Zn2 0.004 0.335 0.811 1
Zn3 0.012 0.004 0.640 1
Zn4 0.490 0.503 0.141 1
Zn5 0.497 0.496 0.650 1
Zn6 0.499 0.835 0.311 1
Si1 0.141 0.188 0.415 1
Si2 0.141 0.482 0.418 1
Si3 0.143 0.142 0.746 1
Si4 0.148 0.527 0.080 1
Si5 0.207 0.508 0.746 1
Si6 0.294 0.007 0.245 1
Si7 0.354 0.027 0.579 1
Si8 0.359 0.984 0.917 1
Si9 0.362 0.642 0.247 1
Si10 0.643 0.316 0.082 1
Si11 0.648 0.356 0.746 1
Si12 0.708 0.336 0.416 1
Si13 0.796 0.836 0.915 1
Si14 0.856 0.858 0.247 1
Si15 0.858 0.816 0.582 1
S1 0.149 0.814 0.081 1
S2 0.150 0.857 0.750 1
S3 0.211 0.836 0.417 1
S4 0.213 0.169 0.081 1
S5 0.290 0.669 0.580 1
S6 0.292 0.337 0.917 1
S7 0.350 0.358 0.249 1
S8 0.353 0.314 0.581 1
S9 0.358 0.692 0.916 1
S10 0.643 0.651 0.749 1
S11 0.645 0.025 0.082 1
S12 0.646 0.690 0.416 1
S13 0.648 0.982 0.416 1
S14 0.711 0.999 0.749 1
S15 0.712 0.673 0.082 1
S16 0.786 0.173 0.582 1
S17 0.791 0.498 0.248 1
S18 0.853 0.483 0.916 1
S19 0.855 0.190 0.916 1
S20 0.857 0.525 0.582 1
S21 0.859 0.152 0.248 1
O1 0.051 0.102 0.693 1
O2 0.061 0.092 0.407 1
O3 0.062 0.429 0.072 1
O4 0.065 0.573 0.138 1
O5 0.066 0.237 0.474 1
O6 0.067 0.437 0.358 1
O7 0.068 0.581 0.426 1
O8 0.077 0.767 0.744 1
O9 0.079 0.896 0.804 1
O10 0.079 0.901 0.082 1
O11 0.083 0.768 0.027 1
O12 0.085 0.242 0.757 1
O13 0.095 0.595 0.740 1
O14 0.096 0.588 0.023 1
O15 0.099 0.424 0.757 1
O16 0.109 0.756 0.425 1
O17 0.111 0.080 0.807 1
O18 0.112 0.916 0.413 1
O19 0.113 0.419 0.476 1
O20 0.114 0.092 0.085 1
O21 0.114 0.252 0.358 1
O22 0.117 0.762 0.136 1
O23 0.121 0.252 0.074 1
O24 0.130 0.908 0.696 1
O25 0.172 0.651 0.241 1
O26 0.175 0.990 0.910 1
O27 0.178 0.015 0.581 1
O28 0.185 0.024 0.306 1
O29 0.185 0.345 0.256 1
O30 0.186 0.320 0.578 1
O31 0.191 0.683 0.921 1
O32 0.192 0.657 0.527 1
O33 0.192 0.682 0.635 1
O34 0.193 0.348 0.969 1
O35 0.196 0.985 0.188 1
O36 0.209 0.323 0.861 1
O37 0.294 0.821 0.361 1
O38 0.309 0.182 0.135 1
O39 0.309 0.487 0.690 1
O40 0.310 0.846 0.469 1
O41 0.311 0.157 0.027 1
O42 0.316 0.842 0.759 1
O43 0.317 0.818 0.075 1
O44 0.320 0.523 0.807 1
O45 0.325 0.517 0.081 1
O46 0.326 0.179 0.423 1
O47 0.326 0.491 0.410 1
O48 0.332 0.152 0.740 1
O49 0.377 0.408 0.195 1
O50 0.380 0.751 0.575 1
O51 0.386 0.746 0.862 1
O52 0.387 0.262 0.637 1
O53 0.388 0.592 0.585 1
O54 0.391 0.919 0.975 1
O55 0.392 0.418 0.913 1
O56 0.392 0.580 0.307 1
O57 0.394 0.258 0.924 1
O58 0.403 0.924 0.257 1
O59 0.406 0.088 0.523 1
O60 0.406 0.095 0.239 1
O61 0.417 0.269 0.528 1
O62 0.417 0.742 0.256 1
O63 0.421 0.395 0.303 1
O64 0.424 0.267 0.243 1
O65 0.424 0.734 0.970 1
O66 0.425 0.402 0.583 1
O67 0.430 0.603 0.910 1
O68 0.433 0.933 0.859 1
O69 0.435 0.080 0.924 1
O70 0.436 0.072 0.639 1
O71 0.440 0.928 0.572 1
O72 0.450 0.604 0.191 1
O73 0.559 0.406 0.805 1
O74 0.564 0.259 0.741 1
O75 0.571 0.936 0.076 1
O76 0.572 0.260 0.025 1
O77 0.576 0.740 0.758 1
O78 0.577 0.412 0.086 1
O79 0.577 0.734 0.469 1
O80 0.579 0.064 0.137 1
O81 0.579 0.600 0.412 1
O82 0.579 0.945 0.362 1
O83 0.580 0.615 0.694 1
O84 0.581 0.071 0.424 1
O85 0.603 0.079 0.029 1
O86 0.603 0.922 0.758 1
O87 0.604 0.249 0.425 1
O88 0.604 0.424 0.405 1
O89 0.610 0.250 0.140 1
O90 0.613 0.753 0.074 1
O91 0.613 0.924 0.469 1
O92 0.616 0.082 0.745 1
O93 0.618 0.593 0.802 1
O94 0.623 0.593 0.082 1
O95 0.629 0.741 0.361 1
O96 0.637 0.422 0.691 1
O97 0.670 0.816 0.572 1
O98 0.678 0.840 0.258 1
O99 0.679 0.849 0.973 1
O100 0.680 0.820 0.858 1
O101 0.685 0.157 0.244 1
O102 0.685 0.167 0.530 1
O103 0.686 0.179 0.925 1
O104 0.686 0.492 0.912 1
O105 0.691 0.521 0.585 1
O106 0.695 0.185 0.638 1
O107 0.696 0.514 0.302 1
O108 0.707 0.484 0.194 1
O109 0.793 0.982 0.695 1
O110 0.802 0.687 0.137 1
O111 0.806 0.013 0.803 1
O112 0.810 0.018 0.083 1
O113 0.814 0.658 0.745 1
O114 0.814 0.988 0.412 1
O115 0.815 0.679 0.425 1
O116 0.816 0.667 0.029 1
O117 0.819 0.354 0.474 1
O118 0.820 0.320 0.358 1
O119 0.825 0.341 0.758 1
O120 0.831 0.317 0.072 1
O121 0.863 0.921 0.190 1
O122 0.873 0.241 0.861 1
O123 0.878 0.094 0.584 1
O124 0.882 0.094 0.301 1
O125 0.884 0.255 0.578 1
O126 0.885 0.425 0.969 1
O127 0.885 0.584 0.244 1
O128 0.892 0.750 0.640 1
O129 0.895 0.924 0.906 1
O130 0.898 0.423 0.256 1
O131 0.898 0.580 0.530 1
O132 0.901 0.749 0.924 1
O133 0.919 0.115 0.193 1
O134 0.920 0.446 0.862 1
O135 0.921 0.241 0.256 1
O136 0.922 0.567 0.638 1
O137 0.922 0.572 0.925 1
O138 0.923 0.101 0.911 1
O139 0.925 0.234 0.969 1
O140 0.925 0.912 0.587 1
O141 0.930 0.438 0.579 1
O142 0.930 0.760 0.525 1
O143 0.940 0.759 0.240 1
O144 0.944 0.907 0.305 1
```